Ba2Tl2W3O10: relaxed, PBE+U.

Output
energy with MP2020 corrections	-7.55	eV/atom
calculated formation energy	-1850	meV/atom
total magnetization	2.63	μB per formula unit

a = 3.9281 Å, b = 3.9285 Å, c = 19.2649 Å
α = 95.56°, β = 95.68°, γ = 91.39°
With the nearest neighbours (Å) after each atom.
Space group P1 (No. 1)
One atom of each set of equivalent atoms:
Ba 0.0000 0.0000 0.0000 x1  4 O 2.55-2.85
Ba 0.2883 0.3190 0.5936 x1  4 O 2.55-2.85
Tl 0.4316 0.4418 0.8538 x1  3 O 2.46-2.61
Tl 0.8739 0.8883 0.7397 x1  3 O 2.45-2.60
W 0.5666 0.5622 0.1299 x1  5 O 1.96-1.97
W 0.6475 0.6577 0.2968 x1  4 O 1.96-1.97
W 0.7238 0.7558 0.4632 x1  5 O 1.96-1.97
O 0.0100 0.9404 0.8671 x1  3 Tl 2.45-2.61, 1 Ba 2.55
O 0.0666 0.5610 0.1312 x1  2 W 1.96-1.97
O 0.1480 0.6575 0.2967 x1  2 W 1.96-1.97
O 0.2231 0.7555 0.4622 x1  2 W 1.96
O 0.4481 0.3782 0.7261 x1  3 Tl 2.46-2.60, 1 Ba 2.55
O 0.5140 0.5116 0.0267 x1  1 W 1.97
O 0.5664 0.0626 0.1316 x1  2 W 1.96-1.97
O 0.6482 0.1576 0.2967 x1  2 W 1.96
O 0.7216 0.2547 0.4618 x1  2 W 1.96-1.97
O 0.7758 0.8052 0.5666 x1  1 W 1.97

=====

Ba2YTlW2O7: relaxed, PBE+U.

Output
energy with MP2020 corrections	-7.82	eV/atom
calculated formation energy	-2191	meV/atom
total magnetization	4.05	μB per formula unit

a = 4.0378 Å, b = 4.2191 Å, c = 13.1340 Å
α = 90.00°, β = 90.00°, γ = 90.00°
With the nearest neighbours (Å) after each atom.
Space group Pmmm (No. 47)
One atom of each set of equivalent atoms:
Ba 0.0000 0.0000 0.1903 x2  1 O 2.50
Y 0.0000 0.0000 0.5000 x1  8 O 2.51-2.58
Tl 0.5000 0.5000 0.0000 x1  6 O 2.86-2.92
W 0.5000 0.5000 0.3739 x2  5 O 2.03-2.12
O 0.0000 0.0000 0.0000 x1  2 Ba 2.50
O 0.0000 0.5000 0.3872 x2  2 W 2.03
O 0.5000 0.0000 0.3859 x2  2 W 2.12
O 0.5000 0.5000 0.2177 x2  1 W 2.05

=====

Ba2Tl2Zn3W4O12: relaxed, PBE+U.

Output
energy with MP2020 corrections	-6.69	eV/atom
calculated formation energy	-1319	meV/atom
total magnetization	3.67	μB per formula unit

a = 3.8137 Å, b = 3.8137 Å, c = 47.0930 Å
α = 90.00°, β = 90.00°, γ = 90.00°
With the nearest neighbours (Å) after each atom.
Space group I4/mmm (No. 139)
One atom of each set of equivalent atoms:
Ba 0.0000 0.0000 0.1656 x4  9 O 2.76-2.93
Tl 0.0000 0.0000 0.2749 x4  2 O 2.20-2.24
Zn 0.0000 0.0000 0.0000 x2  8 O 2.33
Zn 0.0000 0.0000 0.0725 x4  8 O 2.82-2.88, 8 W 2.95-3.14
W 0.0000 0.0000 0.3934 x4  4 O 1.99
W 0.0000 0.0000 0.4529 x4  4 O 2.10
O 0.0000 0.0000 0.2273 x4  1 Tl 2.24
O 0.0000 0.0000 0.3216 x4  1 Tl 2.20
O 0.0000 0.5000 0.0285 x8  2 W 2.10, 2 Zn 2.33
O 0.0000 0.5000 0.1184 x8  2 W 1.99

=====

BaV4O8: relaxed, PBE+U.

Output
energy with MP2020 corrections	-8.38	eV/atom
calculated formation energy	-2395	meV/atom
total magnetization	6.00	μB per formula unit

a = 5.7144 Å, b = 5.7144 Å, c = 7.9500 Å
α = 90.00°, β = 90.00°, γ = 120.00°
With the nearest neighbours (Å) after each atom.
Space group P-31m (No. 162)
One atom of each set of equivalent atoms:
Ba 0.0000 0.0000 0.0000 x1  12 O 3.10-3.30
V 0.3333 0.6667 0.2348 x4  4 O 1.86-1.87
O 0.0000 0.3689 0.2856 x6  2 V 1.86
O 0.3333 0.6667 0.0000 x2  2 V 1.87

=====

BaV10O15: relaxed, PBE+U.

Output
energy with MP2020 corrections	-8.94	eV/atom
calculated formation energy	-2521	meV/atom

a = 11.8183 Å, b = 10.3638 Å, c = 9.7253 Å
α = 90.00°, β = 90.00°, γ = 90.00°
With the nearest neighbours (Å) after each atom.
Space group Cmce (No. 64)
One atom of each set of equivalent atoms:
Ba 0.0000 0.0000 0.0000 x4  12 O 2.90-3.09
V 0.0000 0.1802 0.3650 x8  5 O 1.99-2.08
V 0.1273 0.0874 0.6411 x16  6 O 2.00-2.23
V 0.2441 0.1642 0.1199 x16  6 O 2.07-2.12
O 0.0000 0.0000 0.5000 x4  6 V 2.23-2.28
O 0.0000 0.1583 0.7538 x8  3 V 1.99-2.00
O 0.1250 0.0856 0.2591 x16  4 V 2.04-2.12
O 0.1245 0.2383 0.5023 x16  4 V 2.07-2.10
O 0.2389 0.0000 0.5000 x8  4 V 2.07-2.11
O 0.2500 0.1758 0.7500 x8  4 V 2.02-2.09

=====

BaV8O21: relaxed, PBE+U.

Output
energy with MP2020 corrections	-8.35	eV/atom
calculated formation energy	-2403	meV/atom
total magnetization	0.00	μB per formula unit

a = 7.2152 Å, b = 7.8513 Å, c = 15.1774 Å
α = 89.77°, β = 89.97°, γ = 76.70°
With the nearest neighbours (Å) after each atom.
Space group P-1 (No. 2)
One atom of each set of equivalent atoms:
Ba 0.2387 0.0460 0.1881 x2  9 O 2.84-2.96
V 0.0460 0.8160 0.4256 x2  2 O 1.65-1.81
V 0.0839 0.6620 0.0234 x2  2 O 1.63-1.77
V 0.0935 0.6158 0.2319 x2  2 O 1.64-1.81
V 0.1569 0.3732 0.4290 x2  2 O 1.63-1.81
V 0.3432 0.6274 0.5712 x2  1 O 1.61
V 0.4038 0.3843 0.7675 x2  1 O 1.61
V 0.4149 0.3385 0.9761 x2  2 O 1.63-1.77
V 0.4541 0.1839 0.5747 x2  2 O 1.65-1.81
O 0.0000 0.0000 0.5000 x1  2 V 1.81
O 0.0288 0.9035 0.3263 x2  1 V 1.65
O 0.0404 0.8151 0.9481 x2  1 V 1.63
O 0.0630 0.7677 0.1270 x2  2 V 1.77-1.97
O 0.0960 0.6127 0.5328 x2  2 V 1.89-1.91
O 0.1086 0.5680 0.3607 x2  2 V 1.81-1.99
O 0.1447 0.4197 0.9705 x2  3 V 1.90-2.02
O 0.1458 0.4181 0.1902 x2  1 V 1.64
O 0.1638 0.3352 0.7582 x2  2 V 1.81-1.86
O 0.1909 0.2361 0.5478 x2  3 V 1.89-2.08
O 0.1954 0.2174 0.3560 x2  1 V 1.63
O 0.3040 0.7828 0.6421 x2  1 V 1.61
O 0.3089 0.7640 0.4525 x2  3 V 1.89-2.08
O 0.3302 0.6737 0.2420 x2  2 V 1.87
O 0.3544 0.5808 0.0282 x2  3 V 1.91-2.02
O 0.3560 0.5774 0.8101 x2  1 V 1.61
O 0.3922 0.4302 0.6395 x2  2 V 1.83-1.97
O 0.4027 0.3863 0.4666 x2  2 V 1.89-1.90
O 0.4474 0.1857 0.0516 x2  1 V 1.63
O 0.4467 0.2321 0.8727 x2  2 V 1.77-1.97
O 0.4810 0.0953 0.6737 x2  1 V 1.65
O 0.5000 0.0000 0.5000 x1  2 V 1.81

=====

Ba12V4O19: relaxed, PBE+U.

Output
energy with MP2020 corrections	-7.18	eV/atom
calculated formation energy	-2803	meV/atom
total magnetization	6.00	μB per formula unit

a = 10.4037 Å, b = 12.1093 Å, c = 10.4310 Å
α = 90.00°, β = 90.08°, γ = 90.00°
With the nearest neighbours (Å) after each atom.
Space group C2/m (No. 12)
One atom of each set of equivalent atoms:
Ba 0.0000 0.2369 0.0000 x4  9 O 2.87-3.10
Ba 0.0000 0.2459 0.5000 x4  10 O 2.98-3.22
Ba 0.0710 0.5000 0.7379 x4  3 O 2.59-2.68
Ba 0.0740 0.0000 0.2544 x4  6 O 2.68-2.97
Ba 0.2418 0.0000 0.9270 x4  5 O 2.63-2.92
Ba 0.2472 0.0000 0.5727 x4  6 O 2.68-2.98
V 0.2492 0.2500 0.7535 x8  4 O 1.85-1.86
O 0.0000 0.0000 0.0000 x2  6 Ba 2.63-2.87
O 0.0000 0.0000 0.5000 x2  6 Ba 2.68-2.98
O 0.0000 0.5000 0.5000 x2  4 Ba 2.59-2.74
O 0.1121 0.1526 0.7521 x8  1 V 1.85
O 0.1132 0.3468 0.2379 x8  1 V 1.85
O 0.2433 0.3492 0.8884 x8  1 V 1.85
O 0.2501 0.1555 0.3867 x8  1 V 1.86

=====

Ba2V3O7: relaxed, PBE+U.

Output
energy with MP2020 corrections	-7.88	eV/atom
calculated formation energy	-2406	meV/atom
total magnetization	5.00	μB per formula unit

a = 3.9007 Å, b = 3.8944 Å, c = 12.5011 Å
α = 90.00°, β = 91.43°, γ = 90.00°
With the nearest neighbours (Å) after each atom.
Space group Pm (No. 6)
One atom of each set of equivalent atoms:
Ba 0.0000 0.0000 0.0000 x1  10 O 2.71-2.93
Ba 0.0213 0.0000 0.6083 x1  8 O 2.70-2.91
V 0.4933 0.5000 0.8220 x1  4 O 1.80-2.01
V 0.5082 0.5000 0.4360 x1  4 O 1.96-1.97
V 0.5115 0.5000 0.1467 x1  5 O 1.95-2.05
O 0.0097 0.5000 0.4581 x1  2 V 1.97
O 0.0106 0.5000 0.1511 x1  2 V 1.95-1.96
O 0.4679 0.0000 0.8309 x1  2 V 1.95
O 0.4993 0.5000 0.9826 x1  2 V 2.01-2.05
O 0.5083 0.0000 0.4526 x1  2 V 1.96
O 0.5100 0.0000 0.1535 x1  2 V 1.95
O 0.5335 0.5000 0.6787 x1  1 V 1.80

=====

Ba3V4O13: relaxed, PBE+U.

Output
energy with MP2020 corrections	-8.14	eV/atom
calculated formation energy	-2823	meV/atom

a = 16.2049 Å, b = 9.1075 Å, c = 10.4347 Å
α = 90.00°, β = 111.98°, γ = 90.00°
With the nearest neighbours (Å) after each atom.
Space group C2/c (No. 15)
One atom of each set of equivalent atoms:
Ba 0.0000 0.1110 0.2500 x4  7 O 2.71-2.95
Ba 0.2025 0.1711 0.6901 x8  8 O 2.76-2.96
V 0.0895 0.1902 0.9983 x8  4 O 1.71-1.84
V 0.1123 0.4829 0.3649 x8  4 O 1.68-1.82
O 0.0000 0.4325 0.2500 x4  2 V 1.82
O 0.0217 0.1643 0.5394 x8  1 V 1.71
O 0.1154 0.3868 0.9946 x8  2 V 1.79-1.84
O 0.1241 0.0913 0.8873 x8  1 V 1.72
O 0.1447 0.1344 0.1663 x8  1 V 1.72
O 0.1632 0.3246 0.4362 x8  1 V 1.69
O 0.1682 0.4485 0.7714 x8  1 V 1.68

=====

Ba10V10O29: relaxed, PBE+U.

Output
energy with MP2020 corrections	-8.01	eV/atom
calculated formation energy	-2834	meV/atom
total magnetization	12.00	μB per formula unit

a = 10.0028 Å, b = 11.6259 Å, c = 13.1789 Å
α = 115.86°, β = 90.27°, γ = 90.28°
With the nearest neighbours (Å) after each atom.
Space group P1 (No. 1)
One atom of each set of equivalent atoms:
Ba 0.0000 0.0000 0.0000 x1  12 O 2.87-3.04
Ba 0.0001 0.3082 0.6238 x1  11 O 2.77-3.07
Ba 0.0017 0.4942 0.9993 x1  12 O 2.87-3.13
Ba 0.1633 0.9503 0.4096 x1  11 O 2.79-2.97
Ba 0.1708 0.4517 0.4090 x1  11 O 2.82-2.95
Ba 0.3330 0.5912 0.1959 x1  12 O 2.83-3.15
Ba 0.3335 0.4062 0.8186 x1  12 O 2.84-3.15
Ba 0.3346 0.9095 0.8189 x1  12 O 2.86-3.05
Ba 0.3370 0.0991 0.1945 x1  11 O 2.76-3.02
Ba 0.5008 0.2443 0.0023 x1  12 O 2.87-3.05
Ba 0.5010 0.5613 0.6252 x1  10 O 2.77-3.01
Ba 0.5016 0.0536 0.6249 x1  11 O 2.79-3.05
Ba 0.5026 0.7490 0.9996 x1  12 O 2.86-3.11
Ba 0.6636 0.7037 0.4107 x1  11 O 2.77-2.97
Ba 0.6708 0.2020 0.4086 x1  11 O 2.79-2.96
Ba 0.8315 0.6580 0.8184 x1  12 O 2.84-3.11
Ba 0.8326 0.3393 0.1928 x1  11 O 2.76-3.03
Ba 0.8337 0.1546 0.8194 x1  12 O 2.88-3.08
Ba 0.8337 0.8467 0.1958 x1  12 O 2.81-3.13
Ba 0.9991 0.8152 0.6239 x1  11 O 2.78-3.03
V 0.0011 0.1538 0.3190 x1  6 O 1.97-2.18
V 0.0104 0.6618 0.3003 x1  5 O 1.84-2.04
V 0.1609 0.6034 0.6929 x1  4 O 1.84-2.02
V 0.1623 0.3068 0.1318 x1  5 O 1.84-2.02
V 0.1660 0.2047 0.9106 x1  6 O 1.90-2.01
V 0.1687 0.7061 0.9095 x1  6 O 1.90-2.00
V 0.1697 0.0921 0.6879 x1  5 O 1.85-2.07
V 0.1701 0.8178 0.1258 x1  4 O 1.82-2.00
V 0.3240 0.2710 0.5171 x1  5 O 1.84-2.02
V 0.3361 0.7514 0.5039 x1  6 O 2.00-2.24
V 0.4976 0.4057 0.3132 x1  6 O 1.99-2.23
V 0.5101 0.8820 0.3008 x1  5 O 1.84-2.04
V 0.6629 0.3341 0.6915 x1  5 O 1.85-2.03
V 0.6680 0.0644 0.1314 x1  6 O 1.88-2.09
V 0.6682 0.4473 0.9083 x1  6 O 1.90-2.01
V 0.6677 0.9509 0.9092 x1  6 O 1.91-1.99
V 0.6688 0.5524 0.1247 x1  5 O 1.83-2.03
V 0.6687 0.8381 0.6870 x1  5 O 1.85-2.05
V 0.8234 0.4875 0.5145 x1  5 O 1.86-2.07
V 0.8356 0.9967 0.5038 x1  6 O 2.00-2.23
O 0.0103 0.0525 0.6083 x1  1 V 1.85
O 0.0142 0.2542 0.0154 x1  2 V 1.97-2.02
O 0.0178 0.7539 0.0090 x1  2 V 1.92-2.05
O 0.0817 0.4807 0.2172 x1  2 V 2.01-2.04
O 0.0830 0.2310 0.2129 x1  1 V 1.84
O 0.0871 0.7277 0.2089 x1  2 V 1.85-2.00
O 0.0881 0.7674 0.8045 x1  2 V 1.98
O 0.0894 0.5400 0.7990 x1  2 V 1.98-2.00
O 0.0891 0.9706 0.2079 x1  1 V 1.82
O 0.0927 0.0418 0.8084 x1  2 V 1.92-2.07
O 0.0959 0.2645 0.8016 x1  2 V 1.98-2.05
O 0.1438 0.6943 0.4067 x1  1 V 1.84
O 0.1724 0.1970 0.4066 x1  2 V 2.00-2.01
O 0.2401 0.3647 0.0134 x1  2 V 1.90-2.10
O 0.2435 0.1437 0.0174 x1  2 V 1.99-2.02
O 0.2459 0.6495 0.0194 x1  2 V 1.99-2.00
O 0.2467 0.6731 0.6098 x1  1 V 1.84
O 0.2472 0.8710 0.0143 x1  2 V 1.97-1.98
O 0.2500 0.4277 0.6116 x1  2 V 1.86-2.06
O 0.2520 0.9226 0.6035 x1  2 V 1.98-2.03
O 0.2615 0.1692 0.5902 x1  2 V 1.93-2.08
O 0.3158 0.1488 0.7986 x1  2 V 1.96-2.01
O 0.3170 0.6565 0.8110 x1  2 V 1.90-2.09
O 0.3340 0.3563 0.2161 x1  2 V 1.98-1.99
O 0.3435 0.8667 0.2242 x1  2 V 1.91-2.08
O 0.4121 0.3143 0.4159 x1  1 V 1.84
O 0.4149 0.8272 0.4073 x1  2 V 2.00-2.02
O 0.4178 0.5777 0.4125 x1  2 V 2.02-2.03
O 0.4988 0.2930 0.6020 x1  2 V 1.95-2.02
O 0.5083 0.8016 0.6090 x1  1 V 1.85
O 0.5170 0.4998 0.0101 x1  2 V 1.94-2.03
O 0.5196 0.0073 0.0200 x1  2 V 1.98-1.99
O 0.5791 0.9865 0.2212 x1  2 V 1.99-2.04
O 0.5827 0.2322 0.2176 x1  2 V 1.98-2.05
O 0.5866 0.7261 0.2089 x1  2 V 1.86-2.01
O 0.5886 0.2824 0.8056 x1  2 V 1.96-1.99
O 0.5891 0.4827 0.2098 x1  1 V 1.83
O 0.5900 0.5060 0.8021 x1  2 V 1.96-2.03
O 0.5918 0.0116 0.8089 x1  2 V 1.91-2.11
O 0.5938 0.7828 0.8032 x1  2 V 1.98-2.05
O 0.6447 0.9558 0.4053 x1  1 V 1.84
O 0.6812 0.4590 0.4131 x1  1 V 1.87
O 0.7419 0.8905 0.0121 x1  2 V 1.92-2.09
O 0.7435 0.1174 0.0155 x1  2 V 1.97-2.03
O 0.7457 0.3882 0.0147 x1  2 V 1.97-1.99
O 0.7465 0.6146 0.0200 x1  2 V 1.98-2.01
O 0.7475 0.1803 0.6100 x1  1 V 1.85
O 0.7490 0.4278 0.6114 x1  2 V 1.86-2.01
O 0.7519 0.9259 0.6026 x1  2 V 1.99-2.00
O 0.7569 0.6737 0.5957 x1  2 V 1.98-2.07
O 0.8162 0.8961 0.7994 x1  2 V 1.98
O 0.8183 0.4004 0.8113 x1  2 V 1.90-2.10
O 0.8306 0.1013 0.2116 x1  1 V 1.88
O 0.8428 0.6016 0.2255 x1  2 V 1.91-2.10
O 0.9153 0.0781 0.4105 x1  2 V 1.97-2.02
O 0.9164 0.3388 0.4128 x1  2 V 1.91-2.14
O 0.9164 0.8243 0.4059 x1  2 V 2.03
O 0.9931 0.5523 0.5966 x1  2 V 1.97-2.02

=====

Among the records above, which one has the lowest energy with MP2020 corrections? BaV10O15